Sr2CrN3 | r²SCAN | optimized geometry

Summary:
Energy of formation: -1059 meV/atom
Crystal system: orthorhombic

Unit cell a=6.1553 b=10.9508 c=12.2854 alpha=90.00 beta=90.00 gamma=27.18
Atoms (fractional coordinates):
Sr: 0.0000 0.4437 0.6434
Sr: 0.0000 0.5563 0.3566
Sr: 0.0000 0.0563 0.1434
Sr: 0.0000 0.9437 0.8566
Sr: 0.0000 0.1415 0.5778
Sr: 0.0000 0.8585 0.4222
Sr: 0.0000 0.3585 0.0778
Sr: 0.0000 0.6415 0.9222
Cr: 0.0000 0.2554 0.8354
Cr: 0.0000 0.7446 0.1646
Cr: 0.0000 0.2446 0.3354
Cr: 0.0000 0.7554 0.6646
N: 0.0000 0.1604 0.9512
N: 0.0000 0.8396 0.0488
N: 0.0000 0.3396 0.4512
N: 0.0000 0.6604 0.5488
N: 0.0000 0.4115 0.8682
N: 0.0000 0.5885 0.1318
N: 0.0000 0.0885 0.3682
N: 0.0000 0.9115 0.6318
N: 0.5000 0.4717 0.7500
N: 0.5000 0.0283 0.2500
N: 0.5000 0.5283 0.2500
N: 0.5000 0.9717 0.7500